LiMnP3H8O13 after structural relaxation. Source: the Materials Project, functional GGA+U.

```
LiMnP3H8O13
1.0
7.1365 0.0000 0.0000
1.5816 7.5482 0.0000
2.6989 0.5021 9.6359
O H Li P Mn
26 16 2 6 2
direct
0.8889 0.1454 0.1873
0.6192 0.4100 0.2533
0.0799 0.7109 0.5634
0.9763 0.7468 0.1018
0.7599 0.5625 0.6741
0.7293 0.0156 0.9399
0.4761 0.8780 0.7913
0.9201 0.2891 0.4366
0.5807 0.3430 0.6084
0.4141 0.6520 0.1370
0.5239 0.1220 0.2087
0.8072 0.0400 0.6176
0.1928 0.9600 0.3824
0.8265 0.7146 0.3799
0.2132 0.3769 0.0522
0.3808 0.5900 0.7467
0.4193 0.6570 0.3916
0.1735 0.2854 0.6201
0.6375 0.1396 0.4232
0.0237 0.2532 0.8982
0.2707 0.9844 0.0601
0.3625 0.8604 0.5768
0.1111 0.8546 0.8127
0.7868 0.6231 0.9478
0.2401 0.4375 0.3259
0.5859 0.3480 0.8630
0.6901 0.1362 0.8982
0.3608 0.9810 0.9660
0.8564 0.6619 0.0115
0.6392 0.0190 0.0340
0.6904 0.6946 0.3982
0.3096 0.3054 0.6018
0.3505 0.3751 0.9947
0.0790 0.2591 0.7955
0.3099 0.8638 0.1018
0.9210 0.7409 0.2045
0.1815 0.1814 0.5697
0.8185 0.8186 0.4303
0.1436 0.3381 0.9885
0.0992 0.6581 0.0849
0.6495 0.6249 0.0053
0.9008 0.3419 0.9151
0.0000 0.5000 0.5000
0.0000 0.0000 0.0000
0.6731 0.1945 0.2572
0.4059 0.5390 0.2691
0.7593 0.1954 0.5225
0.2407 0.8046 0.4775
0.3269 0.8055 0.7428
0.5941 0.4610 0.7309
0.8186 0.8090 0.7620
0.1814 0.1910 0.2380
```

## Properties
The calculation puts the energy above the most stable polymorph in this dataset at 0.0 meV per atom.



Li2MnP4H3O14 after structural relaxation. Source: the Materials Project, functional GGA+U.

```
Li2MnP4H3O14
1.0
-0.0096 7.3637 1.9134
-1.8579 1.1305 -4.3601
-15.8580 -1.0603 4.0009
Mn O P Li H
2 28 8 4 6
direct
0.5000 0.0000 0.0000
0.0000 0.0000 0.5000
0.6489 0.4756 0.1420
0.9281 0.5455 0.0620
0.1076 0.8051 0.6485
0.1644 0.1891 0.2539
0.7883 0.1811 0.5322
0.3511 0.5244 0.8580
0.6406 0.6849 0.9893
0.9624 0.5966 0.2357
0.6644 0.8109 0.2461
0.6076 0.1949 0.8515
0.1406 0.3151 0.5107
0.4281 0.4545 0.4380
0.5376 0.5966 0.7357
0.2117 0.8189 0.4678
0.4624 0.4034 0.2643
0.2883 0.8189 0.9678
0.8924 0.1949 0.3515
0.8511 0.4756 0.6420
0.0376 0.4034 0.7643
0.8356 0.8109 0.7461
0.3356 0.1891 0.7539
0.1489 0.5244 0.3580
0.5719 0.5455 0.5620
0.8594 0.6849 0.4893
0.3924 0.8051 0.1485
0.0719 0.4545 0.9380
0.7117 0.1811 0.0322
0.3594 0.3151 0.0107
0.4657 0.3489 0.7991
0.9657 0.6511 0.7009
0.5343 0.6511 0.2009
0.2677 0.5236 0.9458
0.2323 0.5236 0.4458
0.0343 0.3489 0.2991
0.7323 0.4764 0.0542
0.7677 0.4764 0.5542
0.3662 0.7872 0.6524
0.1338 0.7872 0.1524
0.6338 0.2128 0.3476
0.8662 0.2128 0.8476
0.8396 0.6890 0.2457
0.1604 0.3110 0.7543
0.5000 0.5000 0.5000
0.6604 0.6890 0.7457
0.3396 0.3110 0.2543
0.0000 0.5000 0.0000
```

## Properties
The total energy comes out at -316.5 eV per cell.



Li2MnP2HO8 after structural relaxation. Source: the Materials Project, functional GGA+U.

```
Li2MnP2HO8
1.0
-2.9000 7.8016 -0.2286
-3.7012 -1.4531 -2.6378
-5.3547 -1.8412 5.0956
O H Li Mn P
16 2 4 2 4
direct
0.4663 0.1344 0.5932
0.5582 0.9915 0.1929
0.6674 0.8956 0.8958
0.8106 0.2389 0.0475
0.9400 0.4970 0.6924
0.8325 0.3905 0.3965
0.0582 0.0085 0.8071
0.3106 0.7611 0.9525
0.9663 0.8656 0.4068
0.3325 0.6095 0.6035
0.1890 0.2634 0.4513
0.6890 0.7366 0.5487
0.4400 0.5030 0.3076
0.5327 0.3664 0.9077
0.1674 0.1044 0.1042
0.0327 0.6336 0.0923
0.4893 0.7165 0.2628
0.9893 0.2835 0.7372
0.1339 0.8627 0.5980
0.6339 0.1373 0.4020
0.8632 0.6482 0.9064
0.3632 0.3518 0.0936
0.5001 0.7504 0.7538
0.0001 0.2496 0.2462
0.6461 0.1208 0.0127
0.8509 0.6230 0.5054
0.1461 0.8792 0.9873
0.3509 0.3770 0.4946
```

## Properties
The total energy comes out at -188.2 eV per cell. For the largest piezoelectric modulus, the calculation gives 1.1 C/m2.



LiMn3P3H2O12 after structural relaxation. Source: the Materials Project, functional GGA+U.

```
LiMn3P3H2O12
1.0
6.3041 6.0408 0.0000
-6.3041 6.0408 0.0000
0.0000 2.8270 6.0586
O P Mn H Li
24 6 6 4 2
direct
0.6160 0.9652 0.7985
0.5034 0.7119 0.2368
0.0231 0.6785 0.8852
0.7832 0.2908 0.5396
0.7119 0.5034 0.7368
0.9652 0.6160 0.2985
0.9769 0.3215 0.1148
0.2881 0.4966 0.2632
0.2908 0.7832 0.0396
0.6785 0.0231 0.3852
0.8616 0.8688 0.5744
0.3215 0.9769 0.6148
0.1384 0.1312 0.4256
0.0348 0.3840 0.7015
0.5714 0.7382 0.6469
0.7382 0.5714 0.1469
0.4966 0.2881 0.7632
0.2168 0.7092 0.4604
0.7092 0.2168 0.9604
0.4286 0.2618 0.3531
0.3840 0.0348 0.2015
0.2618 0.4286 0.8531
0.8688 0.8616 0.0744
0.1312 0.1384 0.9256
0.3156 0.0978 0.3964
0.9022 0.6844 0.1036
0.6844 0.9022 0.6036
0.0978 0.3156 0.8964
0.6764 0.3236 0.7500
0.3236 0.6764 0.2500
0.3667 0.0450 0.8798
0.2898 0.7102 0.7500
0.9550 0.6333 0.6202
0.7102 0.2898 0.2500
0.0450 0.3667 0.3798
0.6333 0.9550 0.1202
0.3725 0.3734 0.8127
0.6275 0.6266 0.1873
0.3734 0.3725 0.3127
0.6266 0.6275 0.6873
0.9953 0.0047 0.7500
0.0047 0.9953 0.2500
```

## Properties
The total energy comes out at -298.1 eV per cell.



What is the formula in the fourth record?
LiMn3P3H2O12